Computed, not measured: crystalline FeCu3 at its relaxed geometry at the GGA-PBE level of DFT.

Values from the calculation:
Formation enthalpy at 0 K ... 0.1813 eV/atom
Mass density ... 8.505 g/cm3

abc: 5.1689 5.1689 4.1599
angles: 90.00 90.00 120.00
Space group P6_3/mmc (No. 194)
Symmetry-distinct sites (fractional):
Fe (0.3333, 0.6667, 0.2500) (multiplicity 2)
Cu (0.1668, 0.3336, 0.7500) (multiplicity 6)